one:
BaLaMg6 | PBE | optimized geometry Values from VASP.

Structure (Quantum ESPRESSO input):
```
&SYSTEM
  ibrav = 0, nat = 16, ntyp = 3
/
ATOMIC_SPECIES
Mg 24.30 Mg.upf
La 138.91 La.upf
Ba 137.33 Ba.upf
CELL_PARAMETERS angstrom
-1.339 4.546 2.680
-6.879 -2.252 0.382
2.381 -5.491 10.504
ATOMIC_POSITIONS angstrom
Mg -0.782 -2.945 4.605
Mg -5.609 0.139 2.492
Mg -3.068 -1.983 1.831
Mg 1.562 -3.603 6.892
Mg 0.575 -5.636 9.848
Mg -0.979 -1.480 7.553
Mg -2.217 1.250 2.303
Mg -4.055 -4.016 4.787
Mg -3.032 -6.817 10.048
Mg -4.466 -2.622 7.746
Mg -1.901 -4.674 6.977
Mg 0.348 -0.802 1.535
La -3.299 -0.721 5.104
La 1.330 -2.340 10.165
Ba 0.128 0.434 4.858
Ba -2.122 -3.437 10.301
```

=====

two:
BaLaMg6 | PBE | optimized geometry Values from VASP.

Structure (Quantum ESPRESSO input):
```
&SYSTEM
  ibrav = 0, nat = 8, ntyp = 3
/
ATOMIC_SPECIES
Mg 24.30 Mg.upf
Ba 137.33 Ba.upf
La 138.91 La.upf
CELL_PARAMETERS angstrom
-0.698 -0.462 -7.001
-4.458 -3.882 3.845
-3.477 4.070 0.078
ATOMIC_POSITIONS angstrom
Mg -6.074 -1.658 -0.527
Mg -5.883 -1.562 2.980
Mg -2.944 -2.505 -0.522
Mg -0.473 -0.357 -2.450
Mg -3.447 -2.863 -4.271
Mg -3.753 0.298 0.894
Ba -3.943 0.203 -2.617
La -1.058 -0.790 -5.962
```

=====

Stability check: which of them is most stable? two.

=====

one:
Ba2LaMgNbO6 | PBE | optimized geometry Values from VASP.

Structure (Quantum ESPRESSO input):
```
&SYSTEM
  ibrav = 0, nat = 11, ntyp = 5
/
ATOMIC_SPECIES
Ba 137.33 Ba.upf
O 16.00 O.upf
Nb 92.91 Nb.upf
La 138.91 La.upf
Mg 24.30 Mg.upf
CELL_PARAMETERS angstrom
-3.194 -3.080 -4.678
3.194 -3.080 4.678
-3.191 3.080 4.714
ATOMIC_POSITIONS angstrom
Ba -3.177 -3.080 2.976
Ba -0.014 0.000 1.738
O -2.784 0.000 2.706
O -1.658 -4.439 -0.325
O -1.533 1.358 5.039
O -1.533 -1.358 5.039
O -1.658 -1.722 -0.325
O -0.407 -3.080 2.008
Nb 0.000 -3.080 0.000
La -3.193 0.000 0.018
Mg 0.001 0.000 4.696
```

=====

two:
Ba2LaMgNbO6 | PBE | optimized geometry Values from VASP.

Structure (Quantum ESPRESSO input):
```
&SYSTEM
  ibrav = 0, nat = 11, ntyp = 5
/
ATOMIC_SPECIES
O 16.00 O.upf
Ba 137.33 Ba.upf
Nb 92.91 Nb.upf
Mg 24.30 Mg.upf
La 138.91 La.upf
CELL_PARAMETERS angstrom
-3.028 -2.957 -4.186
3.028 -2.957 4.186
-3.997 2.957 4.934
ATOMIC_POSITIONS angstrom
O -0.810 -2.957 2.160
O -1.373 -1.706 -0.831
O -3.288 0.000 2.278
O -1.373 -4.208 -0.831
O -2.597 1.358 5.153
O -2.597 -1.358 5.153
Ba -0.999 0.000 3.385
Ba -3.553 -2.957 3.040
Nb -0.134 -2.957 0.349
Mg -5.281 0.000 2.264
La 0.457 -2.957 4.313
```

=====

Stability check: which of them is most stable? two.

=====

one:
BaLa2O4 | PBE | optimized geometry Values from VASP.

Structure (Quantum ESPRESSO input):
```
&SYSTEM
  ibrav = 0, nat = 28, ntyp = 3
/
ATOMIC_SPECIES
Ba 137.33 Ba.upf
O 16.00 O.upf
La 138.91 La.upf
CELL_PARAMETERS angstrom
-0.557 1.508 3.332
3.860 -8.929 4.687
11.710 4.921 -0.268
ATOMIC_POSITIONS angstrom
Ba 4.189 -4.842 5.973
Ba 10.326 -3.142 4.177
Ba 4.686 0.642 3.574
Ba 10.823 2.342 1.778
O 5.987 1.645 1.284
O 12.304 -1.832 5.968
O 2.708 -0.668 1.782
O 8.573 1.876 3.666
O 6.480 -1.370 2.731
O 6.698 -6.281 7.044
O 12.537 2.607 3.999
O 8.532 -1.130 5.020
O 11.010 -0.361 3.032
O 4.339 -7.545 5.168
O 2.475 -5.107 3.752
O 4.002 -2.139 4.718
O 6.438 -4.376 4.085
O 9.025 -4.145 6.467
O 8.314 3.781 0.707
O 10.673 5.045 2.583
La 8.644 -0.355 2.634
La 12.185 0.356 4.958
La 2.827 -2.856 2.793
La 13.808 -3.461 4.903
La 7.957 -5.976 5.063
La 6.368 -2.145 5.117
La 1.204 0.961 2.848
La 7.055 3.476 2.688
```

=====

two:
BaLa2O4 | PBE | optimized geometry Values from VASP.

Structure (Quantum ESPRESSO input):
```
&SYSTEM
  ibrav = 0, nat = 42, ntyp = 3
/
ATOMIC_SPECIES
Ba 137.33 Ba.upf
La 138.91 La.upf
O 16.00 O.upf
CELL_PARAMETERS angstrom
3.262 5.522 0.000
-3.262 5.522 0.000
0.000 0.302 23.547
ATOMIC_POSITIONS angstrom
Ba -2.543 5.748 17.660
Ba -0.720 3.774 3.547
Ba 0.720 7.571 20.000
Ba -0.720 7.420 8.226
Ba 2.543 5.597 5.887
Ba 0.720 3.926 15.321
La -0.733 7.452 4.570
La -2.527 5.738 13.505
La 0.712 4.005 22.360
La 2.527 5.587 1.732
La 0.733 7.603 16.344
La -0.712 3.854 10.586
La -0.733 3.742 7.203
La -2.527 5.758 21.815
La 0.712 7.492 12.961
La 0.733 3.893 18.977
La 2.527 5.607 10.042
La -0.712 7.341 1.187
O 0.658 2.309 5.954
O 2.018 6.170 14.697
O 1.082 4.123 8.923
O 0.071 5.748 17.660
O 0.000 5.673 11.774
O -1.901 7.681 20.616
O 1.901 7.529 8.842
O -1.082 7.223 14.625
O 0.000 5.522 0.000
O -0.430 1.751 11.849
O -0.430 9.746 23.472
O 1.082 7.071 2.851
O -1.901 3.816 14.705
O -0.658 9.036 17.593
O 2.018 5.326 20.624
O -0.658 2.461 17.728
O 1.901 3.665 2.931
O -0.071 5.597 5.887
O 0.430 9.594 11.699
O 0.430 1.600 0.075
O -1.082 4.274 20.696
O -2.018 6.019 2.923
O -2.018 5.175 8.850
O 0.658 8.885 5.819
```

=====

three:
BaLa2O4 | PBE | optimized geometry Values from VASP.

Structure (Quantum ESPRESSO input):
```
&SYSTEM
  ibrav = 0, nat = 14, ntyp = 3
/
ATOMIC_SPECIES
La 138.91 La.upf
O 16.00 O.upf
Ba 137.33 Ba.upf
CELL_PARAMETERS angstrom
0.000 5.273 5.273
5.273 0.000 5.273
5.273 5.273 0.000
ATOMIC_POSITIONS angstrom
La 3.955 1.318 3.955
La 1.318 1.318 1.318
La 3.955 3.955 1.318
La 1.318 3.955 3.955
O 6.397 9.423 6.397
O 9.423 6.397 6.397
O 9.423 9.423 9.423
O 6.786 6.786 3.761
O 3.761 3.761 3.761
O 6.786 3.761 6.786
O 3.761 6.786 6.786
O 6.397 6.397 9.423
Ba 7.910 7.910 7.910
Ba 5.273 5.273 5.273
```

=====

Stability check: which of them is most stable? three.

=====

one:
BaLa4Ti4O15 | PBE | optimized geometry Values from VASP.

Structure (Quantum ESPRESSO input):
```
&SYSTEM
  ibrav = 0, nat = 48, ntyp = 4
/
ATOMIC_SPECIES
La 138.91 La.upf
O 16.00 O.upf
Ti 47.87 Ti.upf
Ba 137.33 Ba.upf
CELL_PARAMETERS angstrom
-1.108 3.443 4.311
-4.190 -1.864 -3.260
-2.647 -17.981 13.682
ATOMIC_POSITIONS angstrom
La -5.436 -15.534 11.011
La -1.987 -13.498 10.271
La -0.664 -4.507 3.430
La -3.834 -9.866 10.568
La -4.569 -9.650 6.534
La -3.246 -0.659 -0.307
La -4.112 -6.544 4.170
La -2.510 -0.875 3.727
O -1.559 -0.373 1.435
O -3.964 0.845 2.570
O -5.481 -7.304 6.148
O -2.810 -7.961 5.801
O -4.121 -2.094 5.895
O -4.960 -12.593 10.848
O -4.382 -1.920 2.488
O -2.208 -9.063 8.801
O -1.284 -2.556 5.837
O -6.027 -13.372 13.217
O -4.928 -10.854 13.138
O -1.350 1.375 3.772
O -1.911 -3.050 1.480
O -3.556 -12.714 14.559
O -2.827 -3.547 7.836
O -1.737 -5.266 5.788
O -6.618 -16.212 13.134
O -3.375 -11.605 8.867
O -4.084 -17.105 12.450
O -4.580 -4.768 5.892
O -5.109 -8.700 8.718
O -4.425 -3.670 0.179
O -6.236 -11.146 8.916
O -3.531 -14.466 12.263
O -3.526 -7.362 10.782
O -2.471 -11.971 12.147
O -6.285 -17.909 10.968
O -4.726 -8.989 4.080
O -5.078 -12.861 6.887
O -2.983 -3.797 3.877
Ti -2.404 -16.329 12.425
Ti -5.010 -12.641 8.810
Ti -1.080 -7.339 5.584
Ti -0.247 -1.680 1.278
Ti -2.932 -3.739 5.906
Ti -3.686 -3.651 1.969
Ti -4.255 -12.729 12.747
Ti -1.571 -10.670 8.119
Ba -4.675 -15.578 14.915
Ba -3.351 -6.588 8.074
```

=====

two:
BaLa4Ti4O15 | PBE | optimized geometry Values from VASP.

Structure (Quantum ESPRESSO input):
```
&SYSTEM
  ibrav = 0, nat = 48, ntyp = 4
/
ATOMIC_SPECIES
O 16.00 O.upf
Ti 47.87 Ti.upf
La 138.91 La.upf
Ba 137.33 Ba.upf
CELL_PARAMETERS angstrom
0.282 2.116 5.209
-3.915 1.867 -3.588
-14.026 -15.696 7.137
ATOMIC_POSITIONS angstrom
O -12.056 -8.476 2.438
O -7.312 -2.686 4.173
O -8.052 -7.760 5.346
O -0.919 0.982 3.978
O -12.190 -11.552 9.698
O -12.398 -10.876 3.631
O -10.117 -5.825 5.544
O -16.740 -12.695 4.780
O -5.250 -2.013 2.562
O -12.770 -12.239 7.048
O -8.425 -6.326 7.766
O -9.607 -3.953 3.411
O -12.409 -9.700 6.196
O -4.889 0.526 1.710
O -14.292 -10.286 8.352
O -3.066 2.310 2.682
O -7.542 -5.888 3.213
O -10.347 -9.027 4.584
O -3.360 -2.823 4.494
O -12.361 -7.103 4.858
O -5.298 -4.610 3.900
O -1.570 0.341 1.291
O -10.384 -10.757 7.852
O -9.234 -5.386 0.992
O -14.593 -14.023 6.075
O -5.603 -3.237 6.319
O -5.543 -2.953 -0.082
O -16.089 -12.054 7.466
O -5.469 -0.161 -0.940
O -3.367 -1.427 0.406
Ti -8.258 -9.241 4.202
Ti -12.300 -8.999 4.322
Ti -1.245 -1.393 0.633
Ti -5.768 -6.455 2.935
Ti -12.372 -10.562 8.003
Ti -12.781 -14.303 6.503
Ti -5.359 -2.714 4.435
Ti -5.287 -1.151 0.754
La -3.070 1.331 -0.374
La -10.083 -6.518 3.194
La -7.544 -3.676 1.902
La -14.589 -13.043 9.132
La -14.557 -11.524 5.471
La -3.102 -0.189 3.287
La -7.576 -5.195 5.563
La -10.115 -8.037 6.855
Ba -10.520 -11.772 5.353
Ba -3.507 -3.924 1.784
```

=====

Stability check: which of them is most stable? one.

=====

one:
Ba2LiZn2S2O2 | PBE | optimized geometry Values from VASP.

Structure (Quantum ESPRESSO input):
```
&SYSTEM
  ibrav = 0, nat = 9, ntyp = 5
/
ATOMIC_SPECIES
Ba 137.33 Ba.upf
Zn 65.41 Zn.upf
O 16.00 O.upf
S 32.06 S.upf
Li 6.94 Li.upf
CELL_PARAMETERS angstrom
-2.017 2.473 -2.479
-3.079 -5.113 -2.605
-4.444 -1.405 5.505
ATOMIC_POSITIONS angstrom
Ba -5.967 -3.688 1.172
Ba -3.478 -0.396 -0.862
Zn -3.162 -3.819 -1.240
Zn -6.349 -0.345 1.528
O -6.451 1.013 2.973
O -1.637 -2.511 -1.182
S -4.190 -1.258 2.157
S -5.284 -2.840 -1.832
Li -5.400 -0.220 4.179
```

=====

two:
Ba2LiZn2S2O2 | PBE | optimized geometry Values from VASP.

Structure (Quantum ESPRESSO input):
```
&SYSTEM
  ibrav = 0, nat = 9, ntyp = 5
/
ATOMIC_SPECIES
O 16.00 O.upf
S 32.06 S.upf
Li 6.94 Li.upf
Zn 65.41 Zn.upf
Ba 137.33 Ba.upf
CELL_PARAMETERS angstrom
1.153 1.305 -3.957
-2.520 -5.753 -2.726
-6.114 1.665 1.122
ATOMIC_POSITIONS angstrom
O -0.025 -1.169 -5.094
O -7.244 -2.741 -5.491
S -3.301 -2.603 -4.254
S -3.933 -0.006 -1.164
Li -2.985 -2.222 -1.610
Zn -3.671 -4.336 -2.590
Zn -4.369 1.079 -3.296
Ba -0.975 -0.188 -2.710
Ba -6.384 -2.313 -2.787
```

=====

three:
Ba2LiZn2S2O2 | PBE | optimized geometry Values from VASP.

Structure (Quantum ESPRESSO input):
```
&SYSTEM
  ibrav = 0, nat = 9, ntyp = 5
/
ATOMIC_SPECIES
O 16.00 O.upf
S 32.06 S.upf
Ba 137.33 Ba.upf
Li 6.94 Li.upf
Zn 65.41 Zn.upf
CELL_PARAMETERS angstrom
3.938 0.031 -0.657
-0.165 6.165 -0.555
1.225 -0.653 7.404
ATOMIC_POSITIONS angstrom
O 0.270 2.909 -0.196
O 1.408 5.308 6.766
S 2.611 4.695 1.766
S 0.954 1.672 3.884
Ba 3.185 3.634 5.288
Ba 2.481 1.553 0.868
Li 2.961 0.377 3.773
Zn 1.287 0.633 5.995
Zn 0.440 4.614 0.893
```

=====

Stability check: which of them is most stable? three.

=====

one:
Ba2LiTbSnO6 | PBE | optimized geometry Values from VASP.

Structure (Quantum ESPRESSO input):
```
&SYSTEM
  ibrav = 0, nat = 11, ntyp = 5
/
ATOMIC_SPECIES
O 16.00 O.upf
Li 6.94 Li.upf
Sn 118.71 Sn.upf
Tb 158.93 Tb.upf
Ba 137.33 Ba.upf
CELL_PARAMETERS angstrom
4.244 -0.001 4.245
-4.564 4.564 0.319
-4.564 0.319 4.564
ATOMIC_POSITIONS angstrom
O -0.184 0.179 2.350
O -2.347 0.257 4.502
O -4.748 2.669 4.744
O -0.246 0.254 6.595
O -0.246 2.349 4.500
O 1.899 0.165 4.410
Li -3.659 3.666 7.912
Sn -0.173 0.176 4.421
Tb -0.190 0.196 0.196
Ba -2.134 2.143 6.389
Ba -2.246 2.254 2.254
```

=====

two:
Ba2LiTbSnO6 | PBE | optimized geometry Values from VASP.

Structure (Quantum ESPRESSO input):
```
&SYSTEM
  ibrav = 0, nat = 11, ntyp = 5
/
ATOMIC_SPECIES
Sn 118.71 Sn.upf
O 16.00 O.upf
Ba 137.33 Ba.upf
Li 6.94 Li.upf
Tb 158.93 Tb.upf
CELL_PARAMETERS angstrom
-2.271 5.398 -1.415
2.024 -0.914 6.062
5.183 2.863 2.589
ATOMIC_POSITIONS angstrom
Sn 1.565 4.232 0.796
O 0.620 4.306 2.594
O 2.178 6.169 0.888
O 4.330 3.085 4.767
O -0.294 4.775 -0.310
O 0.791 2.189 0.363
O 3.295 3.507 1.580
Ba 3.229 5.771 3.975
Ba 1.462 1.349 2.795
Li 2.588 2.406 4.934
Tb 4.911 7.325 7.187
```

=====

three:
Ba2LiTbSnO6 | PBE | optimized geometry Values from VASP.

Structure (Quantum ESPRESSO input):
```
&SYSTEM
  ibrav = 0, nat = 11, ntyp = 5
/
ATOMIC_SPECIES
Tb 158.93 Tb.upf
Ba 137.33 Ba.upf
O 16.00 O.upf
Sn 118.71 Sn.upf
Li 6.94 Li.upf
CELL_PARAMETERS angstrom
-4.169 4.014 -1.797
-1.882 -5.556 2.175
-2.597 -0.264 5.436
ATOMIC_POSITIONS angstrom
Tb 0.000 0.000 0.000
Ba -2.419 -1.566 2.113
Ba -6.230 -0.240 3.701
O -4.664 0.235 1.128
O -1.761 1.004 0.881
O -3.985 -2.042 4.686
O -3.708 2.878 0.041
O -5.006 2.746 2.758
O -3.059 0.872 3.597
Sn -3.383 1.875 1.819
Li -2.085 2.007 -0.899
```

=====

Stability check: which of them is most stable? three.